1.
Below is Li6MnV3P6O24 after structural relaxation, with properties calculated at the PBE+U level.

Computed properties:
- Energy above the most stable polymorph in this dataset: 5 meV/atom
- Symmetry: P-1, No. 2
- Calculated formation energy: -2.6813 eV per atom

POSCAR file:
```
Li6MnV3P6O24
1.0
-7.5551 -4.9973 0.4114
-5.4508 1.5568 6.3140
-9.2953 5.9232 -9.6453
O P Li V Mn
48 12 12 6 2
Direct
0.9014 0.2408 0.3955 O
0.1939 0.5652 0.7313 O
0.4205 0.8903 0.6936 O
0.0989 0.4772 0.2667 O
0.9011 0.0228 0.2333 O
0.8061 0.9348 0.7687 O
0.5783 0.4099 0.4008 O
0.9034 0.8839 0.4225 O
0.5762 0.1094 0.3070 O
0.7364 0.3232 0.0683 O
0.7349 0.5735 0.4379 O
0.4198 0.8851 0.4971 O
0.1898 0.4267 0.9159 O
0.0969 0.9786 0.7688 O
0.4208 0.5932 0.5987 O
0.2655 0.9984 0.8726 O
0.7302 0.0764 0.9402 O
0.1912 0.0673 0.2332 O
0.9031 0.5214 0.7312 O
0.8067 0.5770 0.0832 O
0.5792 0.9068 0.9013 O
0.2698 0.4236 0.5598 O
0.9027 0.3845 0.9219 O
0.8062 0.7807 0.2490 O
0.8102 0.0733 0.5841 O
0.4217 0.0901 0.0992 O
0.4238 0.3906 0.1930 O
0.2625 0.6800 0.9315 O
0.1946 0.2180 0.7532 O
0.2651 0.9265 0.0621 O
0.7375 0.8200 0.5685 O
0.0986 0.2592 0.1045 O
0.5808 0.1132 0.5068 O
0.2614 0.5032 0.3714 O
0.1938 0.7193 0.2510 O
0.2636 0.1768 0.4317 O
0.9018 0.7426 0.8955 O
0.0966 0.6161 0.0775 O
0.7345 0.5016 0.6274 O
0.5795 0.6097 0.8064 O
0.0982 0.7574 0.6045 O
0.8088 0.4327 0.2668 O
0.4192 0.3868 0.9932 O
0.0973 0.1155 0.5781 O
0.8054 0.2820 0.7468 O
0.1933 0.9230 0.4168 O
0.5802 0.6149 0.0029 O
0.7386 0.9968 0.1286 O
0.7491 0.4152 0.3747 P
0.2502 0.0205 0.7701 P
0.7477 0.9163 0.8761 P
0.2492 0.5220 0.2692 P
0.2509 0.0848 0.1253 P
0.7499 0.9787 0.5220 P
0.7498 0.4795 0.7299 P
0.7488 0.4813 0.0208 P
0.7508 0.9780 0.2308 P
0.2512 0.0187 0.4792 P
0.2523 0.5837 0.6239 P
0.2501 0.5213 0.9780 P
0.1514 0.2942 0.6312 Li
0.1500 0.7248 0.4610 Li
0.1490 0.7960 0.1314 Li
0.1501 0.2260 0.9612 Li
0.1502 0.2552 0.3318 Li
0.1494 0.7550 0.8320 Li
0.8498 0.2448 0.1682 Li
0.8499 0.2740 0.5388 Li
0.8506 0.7450 0.6680 Li
0.8510 0.7040 0.3686 Li
0.8486 0.2058 0.8688 Li
0.8500 0.7752 0.0390 Li
0.0452 0.4780 0.8257 V
0.9548 0.0220 0.6743 V
0.9537 0.5240 0.1739 V
0.4342 0.7818 0.9284 V
0.5658 0.7182 0.5716 V
0.0463 0.9760 0.3261 V
0.4393 0.2767 0.4273 Mn
0.5607 0.2233 0.0727 Mn
```

---

2.
Below is Li6MnV3P6O24 after structural relaxation, with properties calculated at the PBE+U level.

Computed properties:
- Energy above the most stable polymorph in this dataset: 9 meV/atom
- Symmetry: R3, No. 146
- Calculated formation energy: -2.6771 eV per atom

POSCAR file:
```
Li6MnV3P6O24
1.0
7.9709 -4.2506 0.0000
7.9709 4.2506 0.0000
5.7042 0.0000 7.0046
Li O P V Mn
6 24 6 3 1
Direct
0.9177 0.2664 0.6694 Li
0.7316 0.3384 0.0796 Li
0.0796 0.7316 0.3384 Li
0.2664 0.6694 0.9177 Li
0.6694 0.9177 0.2664 Li
0.3384 0.0796 0.7316 Li
0.0011 0.6127 0.8042 O
0.4896 0.5390 0.1682 O
0.8042 0.0011 0.6127 O
0.1682 0.4896 0.5390 O
0.0092 0.3883 0.1797 O
0.6127 0.8042 0.0011 O
0.4954 0.4584 0.8410 O
0.8410 0.4954 0.4584 O
0.1583 0.5381 0.2079 O
0.2079 0.1583 0.5381 O
0.4433 0.7982 0.8546 O
0.5381 0.2079 0.1583 O
0.8782 0.1470 0.2539 O
0.5390 0.1682 0.4896 O
0.7982 0.8546 0.4433 O
0.8694 0.7400 0.1201 O
0.1470 0.2539 0.8782 O
0.1797 0.0092 0.3883 O
0.1201 0.8694 0.7400 O
0.8546 0.4433 0.7982 O
0.3883 0.1797 0.0092 O
0.2539 0.8782 0.1470 O
0.7400 0.1201 0.8694 O
0.4584 0.8410 0.4954 O
0.0423 0.4547 0.7541 P
0.4547 0.7541 0.0423 P
0.2474 0.9644 0.5371 P
0.5371 0.2474 0.9644 P
0.9644 0.5371 0.2474 P
0.7541 0.0423 0.4547 P
0.3496 0.3496 0.3496 V
0.8533 0.8533 0.8533 V
0.1474 0.1474 0.1474 V
0.6508 0.6508 0.6508 Mn
```

---

3.
Below is Li3MnVP3O12 after structural relaxation, with properties calculated at the PBE+U level.

Computed properties:
- Energy above the most stable polymorph in this dataset: 56 meV/atom
- Symmetry: C2, No. 5
- Calculated formation energy: -2.5995 eV per atom

POSCAR file:
```
Li3MnVP3O12
1.0
6.9203 -6.0951 3.4957
7.6216 5.9151 -2.0456
-0.1666 4.1018 8.8691
O P Mn V Li
48 12 4 4 12
Direct
0.6044 0.8998 0.0541 O
0.4030 0.0932 0.4477 O
0.4027 0.8064 0.3487 O
0.1193 0.6066 0.0784 O
0.1069 0.8408 0.8754 O
0.5465 0.4167 0.8614 O
0.8710 0.9689 0.8695 O
0.5833 0.4535 0.1386 O
0.9068 0.5970 0.5523 O
0.5745 0.1949 0.1592 O
0.6000 0.1260 0.5898 O
0.0918 0.1777 0.4391 O
0.1936 0.5973 0.6513 O
0.2041 0.0882 0.9418 O
0.1002 0.3956 0.9459 O
0.3287 0.6247 0.8619 O
0.3686 0.1215 0.7112 O
0.3121 0.8153 0.6724 O
0.8949 0.1835 0.6247 O
0.8018 0.3017 0.1515 O
0.3934 0.8807 0.9216 O
0.1049 0.3077 0.6594 O
0.5779 0.6767 0.9445 O
0.6983 0.1982 0.8485 O
0.4572 0.6032 0.6327 O
0.8785 0.6314 0.2888 O
0.1847 0.6879 0.3276 O
0.2863 0.0851 0.1863 O
0.1114 0.0462 0.6618 O
0.1264 0.3796 0.2094 O
0.6923 0.8951 0.3406 O
0.8223 0.9082 0.5609 O
0.9538 0.8886 0.3382 O
0.4086 0.3225 0.5566 O
0.3233 0.4221 0.0555 O
0.9149 0.7137 0.8137 O
0.3753 0.6713 0.1381 O
0.8165 0.1051 0.3753 O
0.6204 0.8736 0.7906 O
0.3968 0.5428 0.3673 O
0.8051 0.4255 0.8408 O
0.9118 0.7959 0.0582 O
0.1592 0.8931 0.1246 O
0.6711 0.3723 0.6399 O
0.8740 0.4000 0.4102 O
0.6775 0.5914 0.4434 O
0.6277 0.3289 0.3601 O
0.0311 0.1290 0.1305 O
0.9468 0.8277 0.9039 P
0.5495 0.8403 0.9278 P
0.6854 0.3497 0.8012 P
0.1597 0.4505 0.0722 P
0.8378 0.5572 0.4262 P
0.3410 0.6805 0.3014 P
0.0541 0.1839 0.5939 P
0.6503 0.3146 0.1988 P
0.4428 0.1622 0.5738 P
0.1723 0.0532 0.0961 P
0.8161 0.9459 0.4061 P
0.3195 0.6590 0.6986 P
0.7560 0.2440 0.5000 Mn
0.2432 0.7568 0.0000 Mn
0.9741 0.2611 0.2777 Mn
0.7389 0.0259 0.7223 Mn
0.5333 0.4667 0.5000 V
0.4697 0.5303 0.0000 V
0.0270 0.7486 0.2197 V
0.2514 0.9730 0.7803 V
0.7479 0.6314 0.8032 Li
0.7013 0.0747 0.0244 Li
0.9253 0.2987 0.9756 Li
0.9884 0.7460 0.6125 Li
0.2307 0.2666 0.8223 Li
0.2540 0.0116 0.3875 Li
0.5069 0.9883 0.2413 Li
0.2154 0.4350 0.5340 Li
0.0117 0.4931 0.7587 Li
0.5650 0.7846 0.4660 Li
0.3686 0.2521 0.1968 Li
0.7334 0.7693 0.1777 Li
```

---

4.
Below is Li2MnVP4O14 after structural relaxation, with properties calculated at the PBE+U level.

Computed properties:
- Energy above the most stable polymorph in this dataset: 12 meV/atom
- Symmetry: P2_1, No. 4
- Calculated formation energy: -2.6526 eV per atom

POSCAR file:
```
Li2MnVP4O14
1.0
-7.0421 3.6756 2.4483
-3.6014 -6.0482 -1.2789
-0.1979 -5.6542 7.9192
Li O P Mn V
4 28 8 2 2
Direct
0.6400 0.6743 0.0001 Li
0.1396 0.3267 0.4973 Li
0.1400 0.3257 0.9999 Li
0.6396 0.6733 0.5027 Li
0.3447 0.7498 0.1714 O
0.8223 0.6060 0.1459 O
0.1593 0.4944 0.1260 O
0.4655 0.4785 0.1045 O
0.6593 0.5056 0.8740 O
0.3474 0.7533 0.6720 O
0.2951 0.1112 0.1293 O
0.8044 0.8859 0.3755 O
0.5623 0.0927 0.9065 O
0.6721 0.1542 0.6504 O
0.3044 0.1141 0.6245 O
0.3223 0.3940 0.8541 O
0.7951 0.8888 0.8707 O
0.8265 0.6038 0.6441 O
0.1721 0.8458 0.3496 O
0.1768 0.8583 0.8499 O
0.8447 0.2502 0.8286 O
0.8474 0.2467 0.3280 O
0.9655 0.5215 0.8955 O
0.0623 0.9073 0.0935 O
0.6574 0.4927 0.3796 O
0.1574 0.5073 0.6204 O
0.4609 0.4839 0.6016 O
0.0677 0.9160 0.5938 O
0.9609 0.5161 0.3984 O
0.5677 0.0840 0.4062 O
0.6768 0.1417 0.1501 O
0.3265 0.3962 0.3559 O
0.8209 0.4823 0.8100 P
0.8203 0.4778 0.3099 P
0.7167 0.0861 0.3128 P
0.7128 0.0903 0.8137 P
0.2167 0.9139 0.6872 P
0.2128 0.9097 0.1863 P
0.3209 0.5177 0.1900 P
0.3203 0.5222 0.6901 P
0.0018 0.7292 0.9908 Mn
0.5018 0.2708 0.0092 Mn
0.0000 0.7278 0.4936 V
0.5000 0.2722 0.5064 V
```

---

5.
Below is Li3MnVP3O12 after structural relaxation, with properties calculated at the PBE+U level.

Computed properties:
- Energy above the most stable polymorph in this dataset: 30 meV/atom
- Symmetry: P-1, No. 2
- Calculated formation energy: -2.6249 eV per atom

POSCAR file:
```
Li3MnVP3O12
1.0
8.3362 0.0000 0.0000
4.1308 7.3245 0.0000
4.0711 2.3891 7.9547
O Mn Li P V
24 2 6 6 2
Direct
0.2623 0.3658 0.4053 O
0.5241 0.8347 0.1648 O
0.1398 0.2288 0.0939 O
0.4861 0.5112 0.1757 O
0.8602 0.7712 0.9061 O
0.8280 0.4899 0.1790 O
0.2191 0.5163 0.1030 O
0.1720 0.5101 0.8210 O
0.6014 0.0444 0.5846 O
0.5139 0.4888 0.8243 O
0.5067 0.1651 0.1188 O
0.4933 0.8349 0.8812 O
0.1314 0.7309 0.2597 O
0.9811 0.2250 0.4033 O
0.7502 0.8737 0.2465 O
0.1685 0.8373 0.7451 O
0.7809 0.4837 0.8970 O
0.0189 0.7750 0.5967 O
0.7377 0.6342 0.5947 O
0.2498 0.1263 0.7535 O
0.4759 0.1653 0.8352 O
0.8315 0.1627 0.2549 O
0.3986 0.9556 0.4154 O
0.8686 0.2691 0.7403 O
0.8640 0.8558 0.4343 Mn
0.1360 0.1442 0.5657 Mn
0.5418 0.2680 0.4009 Li
0.2956 0.7438 0.9138 Li
0.9297 0.6814 0.1342 Li
0.7044 0.2562 0.0862 Li
0.4582 0.7320 0.5991 Li
0.0703 0.3186 0.8658 Li
0.4577 0.0432 0.7579 P
0.0519 0.7303 0.7591 P
0.5423 0.9568 0.2421 P
0.2667 0.5330 0.2461 P
0.9481 0.2697 0.2409 P
0.7333 0.4670 0.7539 P
0.6537 0.6657 0.0370 V
0.3463 0.3343 0.9630 V
```

---

6.
Below is Li3MnVP3O12 after structural relaxation, with properties calculated at the PBE+U level.

Computed properties:
- Energy above the most stable polymorph in this dataset: 57 meV/atom
- Symmetry: C2, No. 5
- Calculated formation energy: -2.5984 eV per atom

POSCAR file:
```
Li3MnVP3O12
1.0
6.8350 7.0563 0.0000
-6.8350 7.0563 0.0000
0.0000 0.8278 9.8516
O Mn Li V P
48 4 12 4 12
Direct
0.0660 0.4055 0.9646 O
0.4112 0.2993 0.5644 O
0.1093 0.0243 0.6368 O
0.9067 0.6203 0.2827 O
0.6119 0.4614 0.1332 O
0.9402 0.5967 0.5377 O
0.3079 0.7988 0.6603 O
0.1108 0.3940 0.2168 O
0.0375 0.1164 0.1520 O
0.5386 0.3881 0.8668 O
0.2013 0.6921 0.3397 O
0.3799 0.6648 0.1435 O
0.8356 0.1145 0.3720 O
0.1290 0.6138 0.0755 O
0.5882 0.1983 0.1566 O
0.0831 0.1992 0.4482 O
0.3797 0.0933 0.7173 O
0.3109 0.4158 0.0472 O
0.3979 0.5305 0.3709 O
0.1944 0.0878 0.9498 O
0.4033 0.0598 0.4623 O
0.8836 0.9625 0.8480 O
0.8008 0.9169 0.5518 O
0.9160 0.7076 0.8105 O
0.8017 0.4118 0.8434 O
0.8814 0.3933 0.4188 O
0.2924 0.0840 0.1895 O
0.8855 0.1644 0.6280 O
0.5945 0.9340 0.0354 O
0.6819 0.1854 0.8270 O
0.1132 0.8392 0.8719 O
0.5842 0.6891 0.9528 O
0.6067 0.1186 0.5812 O
0.6222 0.3277 0.3629 O
0.1608 0.8868 0.1281 O
0.6060 0.8892 0.7832 O
0.0940 0.2747 0.6943 O
0.7253 0.9060 0.3057 O
0.4462 0.7835 0.3448 O
0.8146 0.3181 0.1730 O
0.6723 0.3778 0.6371 O
0.9757 0.8907 0.3632 O
0.4695 0.6021 0.6291 O
0.7007 0.5888 0.4356 O
0.3352 0.6201 0.8565 O
0.2165 0.5538 0.6552 O
0.9122 0.8056 0.0502 O
0.3862 0.8710 0.9245 O
0.4685 0.5315 0.0000 Mn
0.2407 0.9673 0.7788 Mn
0.0327 0.7593 0.2212 Mn
0.2553 0.7447 0.0000 Mn
0.8321 0.4736 0.0210 Li
0.5264 0.1679 0.9790 Li
0.4809 0.0443 0.2521 Li
0.6406 0.7353 0.2999 Li
0.0476 0.2320 0.8949 Li
0.7680 0.9524 0.1051 Li
0.4512 0.8494 0.5228 Li
0.9348 0.7728 0.6135 Li
0.1506 0.5488 0.4772 Li
0.2647 0.3594 0.7001 Li
0.9557 0.5191 0.7479 Li
0.2272 0.0652 0.3865 Li
0.7507 0.2493 0.5000 V
0.7422 0.0233 0.7202 V
0.9767 0.2578 0.2798 V
0.5346 0.4654 0.5000 V
0.6558 0.3239 0.2019 P
0.1566 0.4517 0.0727 P
0.5483 0.8434 0.9273 P
0.8557 0.5533 0.4227 P
0.1755 0.0494 0.1042 P
0.0466 0.1676 0.6026 P
0.4467 0.1443 0.5773 P
0.6761 0.3442 0.7981 P
0.8324 0.9534 0.3974 P
0.3555 0.6706 0.3022 P
0.9506 0.8245 0.8958 P
0.3294 0.6445 0.6978 P
```